A relaxed ThCoSn crystal, computed with PBE.

abc: 7.368 7.368 4.070
angles: 90.00 90.00 120.00
Fractional coordinates of all 9 atoms:
Sn 0.249 0.000 0.000
Sn 0.000 0.249 0.000
Sn 0.751 0.751 0.000
Co 0.000 0.000 0.500
Co 0.667 0.333 0.000
Co 0.333 0.667 0.000
Th 0.000 0.587 0.500
Th 0.413 0.413 0.500
Th 0.587 0.000 0.500

Computed properties:
The formation energy from the elements comes out at -533 meV per atom.